Computed, not measured: a relaxed structure of MgGa at the PBE-GGA level of DFT.

Values from the calculation:
Symmetry ... No. 8
Uncorrected energy ... -2.376 eV per atom
Crystal system ... monoclinic
DFT formation energy ... -0.06 eV per atom

Lattice parameters (Å, degrees): 5.767 5.767 7.146 108.33 108.33 32.42
Fractional positions:
Mg (0.000, 0.000, 0.000)
Mg (0.331, 0.331, 0.633)
Mg (0.611, 0.611, 0.702)
Ga (0.281, 0.281, 0.041)
Ga (0.667, 0.667, 0.314)
Ga (0.938, 0.938, 0.365)